[1]
TmSb, optimized geometry, DFT r2SCAN; crystal system = cubic
1.0
0.000 3.060 3.060
3.060 0.000 3.060
3.060 3.060 0.000
Tm Sb
1 1
Direct
0.000 0.000 0.000
0.500 0.500 0.500


[2]
MgTi11O20, optimized geometry, DFT r2SCAN; crystal system = monoclinic
1.0
3.787 -9.983 0.000
3.787 9.983 0.000
-1.890 0.000 4.898
Mg Ti O
1 11 20
Direct
0.000 0.000 0.000
0.052 0.551 0.218
0.122 0.811 0.880
0.235 0.425 0.342
0.311 0.619 0.874
0.425 0.235 0.342
0.496 0.496 0.008
0.551 0.052 0.218
0.619 0.311 0.874
0.739 0.925 0.340
0.811 0.122 0.880
0.925 0.739 0.340
0.057 0.690 0.512
0.083 0.403 0.974
0.149 0.964 0.234
0.190 0.563 0.512
0.263 0.765 0.069
0.292 0.292 0.157
0.359 0.488 0.713
0.403 0.083 0.974
0.463 0.647 0.240
0.488 0.359 0.713
0.563 0.190 0.512
0.581 0.900 0.986
0.647 0.463 0.240
0.690 0.057 0.512
0.765 0.263 0.069
0.780 0.780 0.155
0.854 0.991 0.701
0.900 0.581 0.986
0.964 0.149 0.234
0.991 0.854 0.701


[3]
SrLiAs, optimized geometry, DFT r2SCAN; crystal system = orthorhombic
1.0
7.661 0.000 0.000
0.000 4.516 0.000
0.000 0.000 8.049
Sr Li As
4 4 4
Direct
0.007 0.250 0.206
0.493 0.750 0.706
0.507 0.250 0.294
0.993 0.750 0.794
0.158 0.250 0.572
0.342 0.750 0.072
0.658 0.250 0.928
0.842 0.750 0.428
0.224 0.750 0.405
0.276 0.250 0.905
0.724 0.750 0.095
0.776 0.250 0.595


[4]
Ag5Pb2O6, optimized geometry, DFT r2SCAN; crystal system = trigonal
1.0
5.956 0.000 0.000
-2.978 5.158 0.000
0.000 0.000 6.468
Ag Pb O
5 2 6
Direct
0.000 0.000 0.224
0.000 0.000 0.776
0.000 0.500 0.000
0.500 0.000 0.000
0.500 0.500 0.000
0.333 0.667 0.500
0.667 0.333 0.500
0.000 0.378 0.308
0.000 0.622 0.692
0.378 0.000 0.308
0.378 0.378 0.692
0.622 0.000 0.692
0.622 0.622 0.308


[5]
PrYAl6, optimized geometry, DFT r2SCAN; crystal system = hexagonal
1.0
6.431 0.000 0.000
-3.216 5.569 0.000
0.000 0.000 4.592
Pr Y Al
1 1 6
Direct
0.000 0.000 0.000
0.667 0.333 0.500
0.048 0.524 0.000
0.194 0.387 0.500
0.194 0.806 0.500
0.476 0.524 0.000
0.476 0.952 0.000
0.613 0.806 0.500


[6]
ScSiPt, optimized geometry, DFT r2SCAN; crystal system = orthorhombic
1.0
6.608 0.000 0.000
0.000 4.148 0.000
0.000 0.000 7.268
Sc Si Pt
4 4 4
Direct
0.002 0.250 0.202
0.498 0.750 0.702
0.502 0.250 0.298
0.998 0.750 0.798
0.193 0.250 0.593
0.307 0.750 0.093
0.693 0.250 0.907
0.807 0.750 0.407
0.200 0.750 0.416
0.300 0.250 0.916
0.700 0.750 0.084
0.800 0.250 0.584


[7]
PdS2Cl6, optimized geometry, DFT r2SCAN; crystal system = triclinic
1.0
4.495 0.000 0.000
-0.410 6.782 0.000
-1.006 -1.980 7.919
Pd S Cl
1 2 6
Direct
0.000 0.000 0.000
0.303 0.233 0.211
0.697 0.767 0.789
0.084 0.487 0.217
0.257 0.183 0.439
0.300 0.136 0.836
0.700 0.864 0.164
0.743 0.817 0.561
0.916 0.513 0.783


[8]
TbFeC2, optimized geometry, DFT r2SCAN; crystal system = orthorhombic
1.0
3.644 0.000 0.000
0.000 2.269 2.986
0.000 -2.269 2.986
Tb Fe C
1 1 2
Direct
0.000 0.000 0.000
0.500 0.400 0.400
0.500 0.554 0.864
0.500 0.864 0.554


[9]
SmNiSb, optimized geometry, DFT r2SCAN; crystal system = hexagonal
1.0
4.317 0.000 0.000
-2.159 3.739 0.000
0.000 0.000 8.187
Sm Ni Sb
2 2 2
Direct
0.000 0.000 0.000
0.000 0.000 0.500
0.333 0.667 0.250
0.667 0.333 0.750
0.333 0.667 0.750
0.667 0.333 0.250


[10]
Ni2H, optimized geometry, DFT r2SCAN; crystal system = trigonal
1.0
2.516 0.000 0.000
-1.258 2.179 0.000
0.000 0.000 4.184
Ni H
2 1
Direct
0.000 0.000 0.000
0.333 0.667 0.482
0.667 0.333 0.736


These records have ΔE_f values of -1.292 -3.232 -1.200 -0.582 -0.470 -1.273 -0.335 -0.286 -0.910 0.039 eV per atom, in the order they appear.